## NaMgSb (r²SCAN)

Data for an optimized crystal structure of NaMgSb.

Unit cell a=4.6492 b=4.6492 c=7.6152 alpha=90.00 beta=90.00 gamma=90.00
Closest atoms and distances in Å follow each position.
Space group P4/nmm (No. 129, origin choice 2)
Inequivalent atoms, fractional coordinates:
1 Na 0.2500 0.2500 0.1426 x2  5 Sb 3.17-3.44
2 Mg 0.2500 0.7500 0.5000 x2  4 Sb 2.89
3 Sb 0.2500 0.2500 0.7259 x2  4 Mg 2.89, 1 Na 3.17

***

## P2Pb3O8 (r²SCAN)

Data for an optimized crystal structure of P2Pb3O8.

Unit cell a=10.9630 b=8.7909 c=8.8763 alpha=90.00 beta=112.93 gamma=90.00
Closest atoms and distances in Å follow each position.
Space group C2/c (No. 15)
Inequivalent atoms, fractional coordinates:
1 P 0.2120 0.2016 0.1993 x8  4 O 1.53-1.55
2 Pb 0.0000 0.0849 0.7500 x4  4 O 2.44-2.63
3 Pb 0.1467 0.4535 0.4384 x8  3 O 2.38-2.42
4 O 0.1352 0.3019 0.7379 x8  1 P 1.55
5 O 0.1563 0.3606 0.1426 x8  1 P 1.53
6 O 0.1576 0.0814 0.0618 x8  1 P 1.55
7 O 0.1720 0.1574 0.3433 x8  1 P 1.55

***

## Al5S8 (r²SCAN)

Data for an optimized crystal structure of Al5S8.

Unit cell a=9.8731 b=9.8731 c=9.8731 alpha=90.00 beta=90.00 gamma=90.00
Closest atoms and distances in Å follow each position.
Space group F-43m (No. 216)
Inequivalent atoms, fractional coordinates:
1 Al 0.0000 0.0000 0.0000 x4  4 S 2.28
2 Al 0.1169 0.1169 0.6169 x16  6 S 2.35-2.48
3 S 0.1210 0.1210 0.3790 x16  3 Al 2.35
4 S 0.1334 0.1334 0.8666 x16  4 Al 2.28-2.48

***

## MgAl2O4 (r²SCAN)

Data for an optimized crystal structure of MgAl2O4.

Unit cell a=9.8955 b=5.7062 c=32.8396 alpha=90.00 beta=95.83 gamma=90.00
Closest atoms and distances in Å follow each position.
Space group Cm (No. 8)
Inequivalent atoms, fractional coordinates:
1 Mg 0.0000 0.0000 0.0000 x2  4 O 1.92-1.95
2 Mg 0.0159 0.5000 0.0549 x2  6 O 1.97-2.09
3 Mg 0.0676 0.5000 0.7157 x2  4 O 1.93-1.95
4 Mg 0.0846 0.0000 0.2676 x2  6 O 2.00-2.09
5 Mg 0.1030 0.5000 0.8228 x2  4 O 1.93-1.95
6 Mg 0.1382 0.0000 0.4294 x2  4 O 1.94-1.99
7 Mg 0.1738 0.0000 0.5371 x2  4 O 1.93-1.95
8 Mg 0.2101 0.5000 0.1446 x2  4 O 1.92-1.97
9 Mg 0.2445 0.5000 0.2487 x2  4 O 1.92-2.00
10 Mg 0.2815 0.0000 0.8585 x2  4 O 1.93-1.96
11 Mg 0.3166 0.0000 0.9674 x2  4 O 1.95-1.97
12 Mg 0.3524 0.5000 0.5728 x2  4 O 1.94-1.95
13 Mg 0.3891 0.5000 0.6799 x2  4 O 1.93-1.94
14 Mg 0.4601 0.0000 0.3941 x2  4 O 1.93-1.95
15 Al 0.0133 0.5000 0.5551 x2  6 O 1.90-1.93
16 Al 0.0262 0.0000 0.1081 x2  4 O 1.79-1.83
17 Al 0.0497 0.2504 0.9119 x4  6 O 1.90-1.93
18 Al 0.0850 0.0000 0.7691 x2  6 O 1.91-1.92
19 Al 0.1207 0.2498 0.6263 x4  6 O 1.91-1.92
20 Al 0.1560 0.5000 0.4836 x2  6 O 1.91-1.93
21 Al 0.1575 0.5000 0.9832 x2  6 O 1.88-1.96
22 Al 0.1933 0.2533 0.3407 x4  6 O 1.90-1.96
23 Al 0.2256 0.0000 0.1973 x2  6 O 1.86-2.04
24 Al 0.2281 0.0000 0.6978 x2  6 O 1.90-1.93
25 Al 0.2619 0.2556 0.0541 x4  6 O 1.85-2.06
26 Al 0.2994 0.5000 0.4126 x2  6 O 1.90-1.92
27 Al 0.2997 0.5000 0.9117 x2  6 O 1.90-1.92
28 Al 0.3352 0.2501 0.7691 x4  6 O 1.91-1.92
29 Al 0.3690 0.0000 0.1273 x2  6 O 1.90-1.96
30 Al 0.3704 0.0000 0.6263 x2  6 O 1.91-1.92
31 Al 0.4064 0.2495 0.4836 x4  6 O 1.90-1.93
32 Al 0.4246 0.0000 0.2882 x2  4 O 1.80-1.81
33 Al 0.4399 0.5000 0.3407 x2  6 O 1.90-1.96
34 Al 0.4424 0.5000 0.8405 x2  6 O 1.90-1.93
35 Al 0.4775 0.2515 0.1972 x4  6 O 1.86-2.03
36 O 0.0039 0.2231 0.8024 x4  3 Al 1.91-1.93, 1 Mg 1.94
37 O 0.0165 0.2442 0.3082 x4  3 Al 1.81-1.96
38 O 0.0290 0.5000 0.1649 x2  3 Al 1.89-1.91, 1 Mg 1.97
39 O 0.0472 0.5000 0.6559 x2  3 Al 1.91, 1 Mg 1.95
40 O 0.0487 0.0000 0.1633 x2  4 Al 1.80-1.98
41 O 0.0667 0.0000 0.6596 x2  3 Al 1.91-1.93, 1 Mg 1.94
42 O 0.0750 0.2773 0.5168 x4  3 Al 1.90-1.93, 1 Mg 1.94
43 O 0.1025 0.2703 0.0192 x4  2 Al 1.86-1.88, 2 Mg 1.92-2.01
44 O 0.1030 0.0000 0.8776 x2  3 Al 1.90-1.92, 1 Mg 1.93
45 O 0.1181 0.0000 0.3686 x2  3 Al 1.90, 1 Mg 1.99
46 O 0.1224 0.5000 0.8819 x2  3 Al 1.91-1.92, 1 Mg 1.93
47 O 0.1393 0.5000 0.3746 x2  3 Al 1.90-1.92, 1 Mg 1.95
48 O 0.1466 0.2289 0.2275 x4  2 Al 1.86, 2 Mg 1.92-2.00
49 O 0.1662 0.2223 0.7349 x4  3 Al 1.90-1.92, 1 Mg 1.93
50 O 0.1740 0.5000 0.5921 x2  3 Al 1.90-1.92, 1 Mg 1.94
51 O 0.1939 0.0000 0.5962 x2  3 Al 1.92, 1 Mg 1.93
52 O 0.1974 0.0000 0.0918 x2  2 Al 1.83-1.96
53 O 0.2005 0.5000 0.0860 x2  2 Al 1.88, 2 Mg 1.92-2.00
54 O 0.2197 0.2771 0.9451 x4  3 Al 1.90-1.93, 1 Mg 1.95
55 O 0.2372 0.2769 0.4494 x4  3 Al 1.90-1.93, 1 Mg 1.94
56 O 0.2608 0.0000 0.3081 x2  3 Al 1.81-1.96
57 O 0.2616 0.0000 0.7987 x2  3 Al 1.91, 1 Mg 1.96
58 O 0.2650 0.5000 0.3098 x2  3 Al 1.91, 1 Mg 2.00
59 O 0.2808 0.5000 0.8024 x2  3 Al 1.91-1.93, 1 Mg 1.95
60 O 0.2895 0.2231 0.6596 x4  3 Al 1.91-1.93, 1 Mg 1.94
61 O 0.3092 0.2188 0.1654 x4  3 Al 1.88-1.90, 1 Mg 1.97
62 O 0.3237 0.5000 0.0213 x2  3 Al 1.90-1.96, 1 Mg 1.95
63 O 0.3288 0.0000 0.0277 x2  2 Al 1.85, 2 Mg 1.97
64 O 0.3329 0.5000 0.5130 x2  3 Al 1.91, 1 Mg 1.95
65 O 0.3520 0.0000 0.5168 x2  3 Al 1.91-1.93, 1 Mg 1.95
66 O 0.3605 0.2787 0.3746 x4  3 Al 1.90-1.92, 1 Mg 1.94
67 O 0.3807 0.2775 0.8775 x4  3 Al 1.90-1.93, 1 Mg 1.93
68 O 0.3888 0.0000 0.7349 x2  3 Al 1.90-1.92, 1 Mg 1.94
69 O 0.4061 0.0000 0.2331 x2  1 Al 1.80
70 O 0.4083 0.5000 0.7389 x2  3 Al 1.92, 1 Mg 1.93
71 O 0.4183 0.5000 0.2276 x2  2 Al 1.86, 2 Mg 1.92-2.00
72 O 0.4311 0.2409 0.0931 x4  3 Al 1.79-2.00
73 O 0.4517 0.2226 0.5921 x4  3 Al 1.90-1.92, 1 Mg 1.94
74 O 0.4604 0.5000 0.4494 x2  3 Al 1.90-1.93, 1 Mg 1.94
75 O 0.4763 0.5000 0.9409 x2  3 Al 1.90-1.91, 1 Mg 1.93
76 O 0.4795 0.0000 0.4533 x2  3 Al 1.92, 1 Mg 1.93
77 O 0.4948 0.0000 0.9457 x2  3 Al 1.92-1.93, 1 Mg 1.97

***

| no. | mass density (g/cm³) | electronic total energy (eV per cell) |
| --- | --- | --- |
| 1 | 3.4 | -70.749 |
| 2 | 6.8 | -1047.248 |
| 3 | 2.7 | -449.418 |
| 4 | 3.6 | -1806.015 |